VASP calculation (r²SCAN) on an optimized crystal structure of YP3O9.

Output
* magnetization: 0.00 μB per atom
* energy relative to the elements: -267 kJ per mole of atoms
* final energy: -1095.87 eV per cell

a b c (Å): 12.882 12.882 12.882
angles (deg): 110.45 110.45 110.45
Atoms (fractional coordinates):
O (0.302, 0.286, 0.997)
O (0.181, 0.279, 0.743)
O (0.228, 0.140, 0.503)
O (0.698, 0.714, 0.003)
O (0.513, 0.890, 0.382)
O (0.274, 0.439, 0.146)
O (0.286, 0.997, 0.302)
O (0.003, 0.698, 0.714)
O (0.805, 0.978, 0.892)
O (0.375, 0.662, 0.314)
O (0.821, 0.400, 0.311)
O (0.121, 0.324, 0.914)
O (0.662, 0.314, 0.375)
O (0.050, 0.847, 0.323)
O (0.686, 0.625, 0.338)
O (0.503, 0.228, 0.140)
O (0.600, 0.689, 0.179)
O (0.439, 0.146, 0.274)
O (0.997, 0.302, 0.286)
O (0.978, 0.892, 0.805)
O (0.400, 0.311, 0.821)
O (0.879, 0.676, 0.086)
O (0.238, 0.937, 0.603)
O (0.195, 0.022, 0.108)
O (0.338, 0.686, 0.625)
O (0.689, 0.179, 0.600)
O (0.892, 0.805, 0.978)
O (0.108, 0.195, 0.022)
O (0.677, 0.950, 0.153)
O (0.625, 0.338, 0.686)
O (0.676, 0.086, 0.879)
O (0.063, 0.397, 0.762)
O (0.762, 0.063, 0.397)
O (0.311, 0.821, 0.400)
O (0.937, 0.603, 0.238)
O (0.086, 0.879, 0.676)
O (0.146, 0.274, 0.439)
O (0.022, 0.108, 0.195)
O (0.819, 0.721, 0.257)
O (0.110, 0.618, 0.487)
O (0.603, 0.238, 0.937)
O (0.630, 0.675, 0.508)
O (0.847, 0.323, 0.050)
O (0.772, 0.860, 0.497)
O (0.508, 0.630, 0.675)
O (0.950, 0.153, 0.677)
O (0.726, 0.561, 0.854)
O (0.675, 0.508, 0.630)
O (0.179, 0.600, 0.689)
O (0.714, 0.003, 0.698)
O (0.860, 0.497, 0.772)
O (0.743, 0.181, 0.279)
O (0.397, 0.762, 0.063)
O (0.323, 0.050, 0.847)
O (0.497, 0.772, 0.860)
O (0.914, 0.121, 0.324)
O (0.140, 0.503, 0.228)
O (0.382, 0.513, 0.890)
O (0.325, 0.492, 0.370)
O (0.153, 0.677, 0.950)
O (0.487, 0.110, 0.618)
O (0.721, 0.257, 0.819)
O (0.561, 0.854, 0.726)
O (0.854, 0.726, 0.561)
O (0.370, 0.325, 0.492)
O (0.492, 0.370, 0.325)
O (0.257, 0.819, 0.721)
O (0.618, 0.487, 0.110)
O (0.279, 0.743, 0.181)
O (0.324, 0.914, 0.121)
O (0.314, 0.375, 0.662)
O (0.890, 0.382, 0.513)
Y (0.000, 0.000, 0.000)
Y (0.979, 0.463, 0.268)
Y (0.463, 0.268, 0.979)
Y (0.537, 0.732, 0.021)
Y (0.500, 0.500, 0.500)
Y (0.268, 0.979, 0.463)
Y (0.732, 0.021, 0.537)
Y (0.021, 0.537, 0.732)
P (0.730, 0.481, 0.732)
P (0.328, 0.376, 0.790)
P (0.732, 0.730, 0.481)
P (0.982, 0.800, 0.700)
P (0.018, 0.200, 0.300)
P (0.700, 0.982, 0.800)
P (0.672, 0.624, 0.210)
P (0.233, 0.930, 0.714)
P (0.270, 0.519, 0.268)
P (0.070, 0.286, 0.767)
P (0.300, 0.018, 0.200)
P (0.800, 0.700, 0.982)
P (0.767, 0.070, 0.286)
P (0.624, 0.210, 0.672)
P (0.714, 0.233, 0.930)
P (0.790, 0.328, 0.376)
P (0.268, 0.270, 0.519)
P (0.200, 0.300, 0.018)
P (0.210, 0.672, 0.624)
P (0.481, 0.732, 0.730)
P (0.376, 0.790, 0.328)
P (0.286, 0.767, 0.070)
P (0.930, 0.714, 0.233)
P (0.519, 0.268, 0.270)